## NaGdF4 (r2SCAN)

Data for a relaxed structure of NaGdF4.

Computed properties:
The final energy comes out at -13.8593 eV per atom. Its crystal system is triclinic.

Cell lengths 5.9964, 6.9748, 6.9838 Å; angles 62.09, 64.62, 64.61 degrees
Last column: nearest neighbours and their distance in Å.
Fractional positions:
Na (0.0000, 0.0000, 0.0000)  6 F 2.23-2.38
Na (0.0014, 0.4762, 0.4905)  6 F 2.23-2.43
Na (0.6656, 0.4208, 0.2303)  8 F 2.32-2.60
Gd (0.3323, 0.4922, 0.8266)  9 F 2.32-2.41
Gd (0.3380, 0.9927, 0.3204)  9 F 2.32-2.39
Gd (0.6707, 0.9146, 0.7315)  9 F 2.33-2.38
F (0.0890, 0.2375, 0.0690)  2 Na 2.23-2.34, 2 Gd 2.33-2.34
F (0.0897, 0.7286, 0.5546)  1 Na 2.31, 3 Gd 2.36-2.41
F (0.3118, 0.8801, 0.7061)  1 Na 2.32, 3 Gd 2.35-2.39
F (0.3163, 0.3746, 0.2049)  2 Na 2.23-2.34, 2 Gd 2.34-2.35
F (0.3720, 0.2719, 0.6395)  2 Gd 2.33-2.34, 1 Na 2.43
F (0.3827, 0.8133, 0.0930)  2 Na 2.30-2.50, 2 Gd 2.32-2.34
F (0.5910, 0.6186, 0.4526)  2 Na 2.31-2.32, 2 Gd 2.35-2.36
F (0.6114, 0.1238, 0.9467)  1 Na 2.24, 3 Gd 2.37-2.39
F (0.6992, 0.5358, 0.8245)  2 Gd 2.34-2.35, 2 Na 2.35-2.50, 1 F 2.62
F (0.7015, 0.0010, 0.3549)  2 Gd 2.32-2.35, 2 Na 2.36-2.57
F (0.9267, 0.7015, 0.9806)  2 Gd 2.32-2.35, 2 Na 2.38-2.53
F (0.9300, 0.1587, 0.5205)  2 Gd 2.33, 2 Na 2.33-2.60



## GdOF (r2SCAN)

Data for a relaxed structure of GdOF.

Computed properties:
The final energy comes out at -21.6157 eV per atom. Its crystal system is trigonal.

Cell lengths 6.7957, 6.7957, 6.7957 Å; angles 33.01, 33.01, 33.01 degrees
Last column: nearest neighbours and their distance in Å.
Fractional positions:
Gd (0.2415, 0.2415, 0.2415)  4 O 2.30-2.31, 4 F 2.47
Gd (0.7585, 0.7585, 0.7585)  4 O 2.30-2.31, 4 F 2.47
O (0.1218, 0.1218, 0.1218)  4 Gd 2.30-2.31
O (0.8782, 0.8782, 0.8782)  4 Gd 2.30-2.31
F (0.3700, 0.3700, 0.3700)  4 Gd 2.47, 3 F 2.64
F (0.6300, 0.6300, 0.6300)  4 Gd 2.47, 3 F 2.64